Entry 1:
The following is a GGA+U calculation of a relaxed structure of Li3MnVP3O12, from Materials Project.

Values from the calculation:
Energy of formation in eV per atom: -2.60
Space-group type: P1, No. 1

extended XYZ file:
```
80
Lattice="8.458 0.000 0.000 -0.052 8.867 0.000 -0.365 -0.152 12.428" Properties=species:S:1:pos:R:3 pbc="T T T"
Li -0.334 -0.132 12.416
Li -0.320 7.841 9.329
Li -0.176 -0.076 6.219
Li -0.038 0.883 3.097
Li 2.096 1.580 11.842
Li 2.282 7.090 5.599
Li 4.188 4.421 0.008
Li 3.902 5.227 9.287
Li 4.045 4.390 6.220
Li 4.141 3.495 3.102
Li 5.784 1.640 6.868
Li 5.924 7.124 0.610
Mn 1.440 4.288 10.597
Mn 2.337 8.779 1.774
Mn 6.414 4.331 8.021
Mn 6.608 4.433 1.830
V 1.657 4.376 4.425
V 2.169 -0.066 7.966
V 5.736 -0.107 10.663
V 5.877 8.798 4.464
P 8.166 1.658 9.333
P -0.092 7.048 3.106
P 1.059 5.637 7.497
P 1.231 3.136 1.322
P 2.572 7.419 11.121
P 2.798 1.259 4.934
P 3.941 2.492 9.328
P 4.143 6.210 3.114
P 5.208 7.480 7.483
P 5.425 1.271 1.305
P 6.800 5.575 11.100
P 6.965 3.087 4.937
O -0.208 5.084 11.110
O -0.059 3.583 4.911
O 0.350 0.681 8.284
O 0.556 8.022 2.045
O 0.750 2.498 10.101
O 0.925 6.186 3.852
O 0.958 7.198 7.310
O 1.105 1.579 1.159
O 1.851 5.208 8.732
O 1.700 8.174 12.172
O 1.900 5.170 6.265
O 1.954 3.552 2.626
O 1.943 0.500 6.000
O 2.000 7.884 9.764
O 2.127 3.617 0.157
O 2.190 0.816 3.588
O 2.568 5.864 11.261
O 2.776 2.807 5.105
O 2.965 1.654 8.519
O 3.172 7.028 2.271
O 3.254 3.446 10.385
O 3.498 5.243 4.156
O 3.722 7.902 7.322
O 3.914 0.905 1.151
O 4.073 7.776 11.290
O 4.298 0.897 5.078
O 4.612 3.445 8.274
O 4.836 5.266 2.049
O 4.894 1.630 10.143
O 5.085 7.090 3.918
O 5.177 5.952 7.316
O 5.418 2.813 1.154
O 5.805 7.914 8.849
O 5.920 5.089 12.281
O 6.019 0.798 2.645
O 6.087 8.252 6.443
O 6.066 5.160 9.802
O 6.119 3.563 6.165
O 6.281 0.528 0.228
O 6.188 3.514 3.683
O 6.883 7.139 11.261
O 7.064 1.528 5.111
O 7.120 2.442 8.559
O 7.308 6.274 2.304
O 7.580 0.675 10.409
O 7.741 8.027 4.159
O 8.066 5.143 7.519
O 8.238 3.645 1.306
```

***

Entry 2:
The following is a GGA+U calculation of a relaxed structure of Li6MnV3P6O24, from Materials Project.

Values from the calculation:
Energy of formation in eV per atom: -2.66
Space-group type: P1, No. 1

extended XYZ file:
```
40
Lattice="8.668 0.000 0.000 -4.219 7.584 0.000 -4.206 -2.401 7.248" Properties=species:S:1:pos:R:3 pbc="T T T"
Li -0.233 -0.869 5.145
Li -0.268 3.333 4.923
Li 1.189 1.497 1.543
Li -5.694 3.023 5.416
Li -2.489 2.242 1.800
Li 0.541 6.870 1.287
Mn 2.624 -0.943 6.208
V 2.627 4.016 2.596
V -2.432 1.179 4.642
V -2.387 6.091 1.007
P 0.258 1.274 6.915
P 3.264 0.786 3.299
P -1.248 -0.248 1.851
P -3.046 4.394 3.899
P -7.196 5.438 5.465
P 0.008 3.901 0.304
O 0.893 -0.140 6.649
O 1.280 2.433 6.804
O 2.855 0.322 4.692
O 4.786 1.112 3.221
O -0.743 1.496 5.751
O 6.470 0.322 0.743
O 3.000 -0.206 2.141
O -0.029 5.569 5.842
O -2.302 -0.830 5.036
O 2.392 2.046 3.018
O 1.466 4.331 4.356
O -3.687 1.610 6.104
O 3.848 3.577 1.052
O -1.222 0.757 3.037
O -2.138 3.171 4.229
O 2.573 5.984 2.236
O 0.228 -0.335 1.399
O -2.884 5.515 4.929
O -6.328 4.923 6.651
O 1.100 3.546 1.335
O -4.555 3.986 3.953
O -2.669 4.805 2.468
O -1.054 2.789 0.430
O -0.558 5.323 0.614
```

***

Entry 3:
The following is a GGA+U calculation of a relaxed structure of Li3MnVP3O12, from Materials Project.

Values from the calculation:
Energy of formation in eV per atom: -2.65
Space-group type: P1, No. 1

extended XYZ file:
```
80
Lattice="-8.459 2.081 2.275 -4.888 3.626 -5.881 -7.716 -12.558 -1.319" Properties=species:S:1:pos:R:3 pbc="T T T"
Li -5.060 -2.940 -1.558
Li -6.209 1.508 -4.552
Li -7.605 -6.584 -2.236
Li -8.348 -2.845 -4.579
Li -9.797 -10.920 -2.282
Li -11.340 -7.404 -5.177
Li -9.702 0.602 0.246
Li -11.288 4.075 -2.655
Li -12.740 -4.032 -0.388
Li -13.479 -0.297 -2.614
Li -14.864 -8.374 -0.358
Li -15.998 -3.857 -3.311
Mn -7.690 -0.459 -6.072
Mn -6.381 1.033 -0.141
Mn -11.986 1.690 -1.151
Mn -13.366 -6.408 1.135
V -9.092 -8.532 -3.769
V -8.392 -3.413 -1.159
V -12.676 -3.444 -3.712
V -14.706 -7.869 -4.816
P -3.509 -0.689 -0.090
P -5.957 -5.431 -0.196
P -6.793 -1.053 -2.866
P -8.174 -9.116 -0.555
P -9.761 -5.192 -3.647
P -12.247 -9.859 -3.819
P -8.777 3.082 -1.144
P -11.262 -1.674 -1.200
P -12.910 2.232 -4.377
P -14.342 -5.879 -2.116
P -15.110 -1.410 -4.732
P -17.558 -6.109 -4.799
O -2.840 -0.129 -1.389
O -3.802 -2.190 -0.239
O -4.448 1.588 -3.595
O -5.885 -6.544 -1.290
O -5.329 -1.590 -2.997
O -4.788 0.082 0.274
O -6.530 -4.176 -0.943
O -7.164 -0.224 -4.142
O -8.550 -8.290 -1.823
O -7.680 -2.345 -2.768
O -6.981 -0.170 -1.651
O -9.095 -4.643 -4.947
O -7.335 3.175 -4.841
O -8.716 -4.954 -2.508
O -7.847 -2.191 0.174
O -10.042 -6.716 -3.812
O -9.439 -1.490 -5.520
O -10.807 -9.520 -3.320
O -7.150 -0.116 1.465
O -15.508 -9.087 -3.580
O -9.220 -4.617 0.041
O -11.607 -6.039 -6.579
O -8.205 1.864 -0.339
O -9.999 -2.490 -1.548
O -11.064 -4.473 -3.320
O -12.841 -8.607 -4.586
O -9.508 -0.879 1.613
O -11.776 -2.210 -4.935
O -13.120 -10.225 -2.643
O -13.968 -6.772 -6.374
O -10.153 2.760 -1.711
O -11.593 -5.315 0.538
O -10.924 -0.196 -1.070
O -13.228 -4.639 -5.192
O -12.349 -1.954 -2.271
O -13.761 -9.961 0.031
O -11.903 -2.220 0.149
O -14.171 -6.641 -3.442
O -13.522 -4.559 -2.171
O -12.558 1.335 -3.194
O -13.952 -6.735 -0.918
O -14.555 -2.649 -3.980
O -16.291 -6.960 -5.152
O -15.848 -5.401 -1.979
O -15.193 -0.287 -3.643
O -16.599 -8.304 -1.404
O -17.170 -4.646 -4.642
O -18.140 -6.690 -3.447
```

***

Entry 4:
The following is a GGA+U calculation of a relaxed structure of Li6MnV3P6O24, from Materials Project.

Values from the calculation:
Energy of formation in eV per atom: -2.65
Space-group type: P1, No. 1

extended XYZ file:
```
80
Lattice="-3.126 7.542 -2.213 -1.218 -2.919 -8.225 -11.255 -4.263 3.342" Properties=species:S:1:pos:R:3 pbc="T T T"
Li -15.569 0.360 -7.098
Li -12.670 1.704 -7.111
Li -9.974 2.457 -8.709
Li -6.020 6.130 -2.189
Li -11.865 -2.428 0.934
Li -7.032 -2.092 -5.780
Li -13.411 -1.852 -1.884
Li -10.729 -1.164 -3.515
Li -7.832 0.180 -3.534
Li -4.876 1.590 -3.574
Li -8.613 2.436 -1.261
Li -3.720 2.800 -8.048
Mn -7.467 0.964 -8.607
Mn -4.723 3.846 -5.392
V -10.914 -3.513 -1.732
V -5.275 -1.358 -3.379
V -8.111 -0.595 1.497
V -3.698 -1.361 -8.365
V -11.896 1.734 1.249
V -10.320 1.724 -3.689
P -8.692 -3.785 0.836
P -3.789 -3.388 -5.730
P -8.074 -3.267 -3.619
P -2.090 -0.349 -2.923
P -12.216 -3.689 -4.802
P -5.751 0.537 -0.649
P -10.361 -0.290 -1.016
P -5.281 0.659 -6.105
P -9.889 -0.148 -6.432
P -3.360 4.056 -2.345
P -13.478 0.648 -4.184
P -7.499 3.607 -3.426
O -10.823 -5.454 -1.809
O -4.941 -2.799 -2.051
O -7.792 -2.590 1.313
O -3.199 -2.826 -7.069
O -9.889 -3.346 -0.019
O -4.730 -2.425 -5.015
O -8.084 -3.810 -5.099
O -1.702 0.142 -1.483
O -9.464 -2.850 -3.104
O -12.973 -5.047 -4.997
O -7.210 -1.960 -3.721
O -3.613 -0.234 -3.181
O -6.269 -0.311 0.551
O -10.823 -3.943 -5.411
O -1.385 0.642 -3.889
O -4.221 0.613 -0.446
O -12.142 -3.276 -3.303
O -6.103 -0.064 -2.033
O -9.157 -0.641 -0.156
O -4.302 -0.236 -6.848
O -11.255 -1.504 -1.457
O -5.848 0.087 -4.769
O -9.219 -1.550 -6.429
O -2.630 2.893 -1.621
O -12.968 -2.521 -5.472
O -6.419 1.941 -0.672
O -9.753 0.282 -2.340
O -4.410 1.910 -5.691
O -11.303 0.650 -0.278
O -6.510 0.988 -6.957
O -9.492 0.443 -5.047
O -3.418 3.558 -3.829
O -11.428 -0.232 -6.579
O -14.142 -0.388 -3.244
O -4.742 4.370 -1.768
O -9.439 0.694 -7.647
O -11.956 0.548 -3.943
O -8.394 2.340 -3.295
O -2.575 5.395 -2.164
O -6.126 3.146 -3.923
O -13.913 0.222 -5.639
O -7.458 4.195 -1.945
O -10.869 2.772 -2.068
O -5.686 3.725 -7.123
O -12.431 3.211 -0.046
O -7.802 2.945 -8.416
O -10.598 3.175 -4.981
O -4.746 5.741 -5.232
```

***

Entry 5:
The following is a GGA+U calculation of a relaxed structure of Li12Mn3V5P12O48, from Materials Project.

Values from the calculation:
Energy of formation in eV per atom: -2.66
Space-group type: P1, No. 1

extended XYZ file:
```
80
Lattice="-2.350 0.021 -8.371 2.063 -8.438 -0.624 -11.565 -3.112 2.932" Properties=species:S:1:pos:R:3 pbc="T T T"
Li -10.041 -2.867 -5.754
Li -9.508 -8.224 -5.908
Li -2.304 -7.110 -6.572
Li -4.845 -3.352 -5.159
Li -9.526 -3.946 -2.809
Li -9.445 -7.407 -2.831
Li -2.416 -4.142 -3.204
Li -2.369 -7.593 -3.236
Li -7.015 -8.136 -0.934
Li -9.583 -4.396 0.558
Li -2.328 -3.306 -0.206
Li -1.765 -8.700 -0.340
Mn -4.308 -9.304 -5.710
Mn 0.188 -8.456 -2.414
Mn -4.195 -5.157 -1.204
V -7.704 -6.358 -4.848
V -12.010 -3.017 -3.667
V -2.095 -4.205 -6.259
V -7.570 -2.216 -0.363
V -9.760 -7.305 0.212
P -7.453 -3.649 -6.792
P -11.166 -5.873 -5.235
P -3.623 -1.302 -7.131
P -4.229 -6.135 -4.377
P -7.078 -9.462 -3.723
P 0.196 -6.315 -4.932
P -12.067 -5.191 -1.094
P -4.804 -2.086 -2.347
P -7.662 -5.356 -1.657
P -8.196 -10.199 1.054
P -0.628 -5.660 -0.827
P -4.395 -7.924 0.685
O -5.455 -8.654 -7.261
O -10.188 -10.096 -5.798
O -7.675 -7.608 -6.485
O -2.886 -5.539 -7.655
O -7.988 -4.895 -6.068
O -11.042 -4.346 -4.903
O -12.385 -6.482 -4.538
O -2.758 -8.997 -7.058
O -3.587 -2.795 -6.676
O -6.580 -2.833 -5.831
O -2.345 -0.545 -6.843
O -9.893 -6.650 -4.755
O -9.916 -2.230 -3.728
O -5.721 -6.046 -4.622
O -0.990 -5.827 -5.806
O -3.536 -7.365 -5.011
O -5.705 -9.297 -4.389
O -7.912 -8.143 -3.842
O -3.545 -4.819 -4.904
O -10.387 -10.183 -2.903
O -11.420 -4.326 -2.209
O -8.072 -5.251 -3.162
O -4.993 -1.847 -3.868
O -1.306 -3.270 -4.598
O -10.568 -8.240 -1.429
O -6.873 -9.704 -2.207
O -3.819 -6.224 -2.860
O -0.458 -7.190 -3.821
O -1.531 -1.319 -3.159
O -8.383 -6.660 -1.152
O -3.961 -3.405 -2.221
O -6.166 -2.276 -1.659
O -8.306 -4.097 -0.994
O -10.900 -5.678 -0.195
O -6.190 -5.516 -1.403
O -2.021 -9.319 -2.316
O -1.851 -4.861 -1.343
O -9.430 -10.997 0.730
O -5.238 -8.783 -0.307
O -8.223 -8.712 0.586
O -9.029 -2.499 1.030
O 0.637 -5.105 -1.486
O -0.764 -7.199 -1.154
O -3.880 -6.675 -0.047
O -8.939 -5.993 1.599
O -4.164 -3.990 0.366
O -1.662 -1.402 -0.276
O -6.367 -2.898 1.148
```

***

Number 1: total DFT energy (no corrections) -560.11 eV/cell, excess energy over the best structure of this formula in the dataset 52.8 meV per atom. Number 2: total DFT energy (no corrections) -282.27 eV/cell, excess energy over the best structure of this formula in the dataset 25.5 meV per atom. Number 3: total DFT energy (no corrections) -563.57 eV/cell, excess energy over the best structure of this formula in the dataset 9.5 meV per atom. Number 4: total DFT energy (no corrections) -563.36 eV/cell, excess energy over the best structure of this formula in the dataset 40.1 meV per atom. Number 5: total DFT energy (no corrections) -564.92 eV/cell, excess energy over the best structure of this formula in the dataset 1.8 meV per atom.